Below is crystalline MgCo6O6F6 at its relaxed geometry, with properties calculated at the GGA+U level.

Cell and atoms, written as extended XYZ:
```
19
Lattice="4.8759 0.0000 0.0000 0.2592 4.8774 0.0000 0.2649 0.1807 9.0922" Properties=species:S:1:pos:R:3 pbc="T T T"
Mg 0.0000 0.0000 0.0000
Co 0.4151 2.7855 6.2678
Co 0.6480 2.5061 3.2927
Co 2.0326 2.5416 0.1707
Co 2.7194 4.8094 1.9155
Co 2.9436 4.9194 7.5683
Co 3.1468 0.4878 4.7397
O 1.5005 3.7361 7.7922
O 1.4596 3.4344 1.8177
O 1.9153 1.0844 3.2726
O 1.8336 0.6843 0.1318
O 3.8110 4.1552 6.1937
O 4.4874 1.6588 4.6513
F 1.4086 3.6626 4.7222
F 1.9543 1.3591 6.1736
F 3.7670 3.5436 0.2701
F 3.9471 3.9269 3.3199
F 4.2921 1.3558 7.7378
F 4.1330 0.9702 1.5438
```

Output
As for the calculated total energy: -5.379 eV/atom. The space group is P1 (1). The relative energy among the computed polymorphs is 59 meV/atom. The value obtained for the volume is 11.38 Å³ per atom. The calculation puts the formation energy at -1.763 eV/atom.

***

Below is crystalline MgCo6O7F5 at its relaxed geometry, with properties calculated at the GGA+U level.

Cell and atoms, written as extended XYZ:
```
19
Lattice="5.0113 0.0000 0.0000 1.0520 4.9499 0.0000 0.2396 0.3928 8.6204" Properties=species:S:1:pos:R:3 pbc="T T T"
Mg 0.0000 0.0000 0.0000
Co 1.0136 3.2355 4.2113
Co 2.7447 0.6614 8.4769
Co 2.6956 0.5098 5.4680
Co 2.6704 0.2348 2.8317
Co 4.9743 2.4369 1.4262
Co 5.6562 2.9464 6.9822
O 1.3824 2.0258 8.4909
O 1.6084 2.1513 5.5940
O 2.6324 4.4959 4.0458
O 3.6070 0.9527 1.2558
O 4.9022 3.9936 8.4349
O 4.8875 3.7535 2.8190
O 5.0336 3.9849 5.5857
F 1.5143 1.9130 2.7474
F 2.3891 4.3293 1.2989
F 2.6140 4.7318 7.1543
F 3.8360 1.3057 4.0239
F 4.0333 1.3853 7.0717
```

Output
As for the calculated total energy: -5.405 eV/atom. The space group is P1 (1). The relative energy among the computed polymorphs is 75 meV/atom. The value obtained for the volume is 11.25 Å³ per atom. The calculation puts the formation energy at -1.641 eV/atom.

***

Below is crystalline MgCo6O6F6 at its relaxed geometry, with properties calculated at the GGA+U level.

Cell and atoms, written as extended XYZ:
```
19
Lattice="5.0970 0.0000 0.0000 0.0000 3.0586 0.0000 -2.5384 0.0000 14.0624" Properties=species:S:1:pos:R:3 pbc="T T T"
Mg 0.0000 0.0000 0.0000
Co -1.2692 0.0000 7.0312
Co -0.6087 0.0000 11.1126
Co 0.9121 1.5293 4.8711
Co 2.5485 1.5293 0.0000
Co 1.6466 1.5293 9.1913
Co 3.1673 0.0000 2.9498
O -0.5291 1.5293 6.0934
O -0.7409 0.0000 13.0620
O 0.2699 1.5293 10.4742
O 2.2888 1.5293 3.5882
O 3.2995 0.0000 1.0004
O 3.0878 1.5293 7.9690
F -0.0989 0.0000 3.7857
F 0.7452 1.5293 1.0545
F 0.6759 0.0000 8.2640
F 1.8827 0.0000 5.7984
F 1.8135 1.5293 13.0078
F 2.6576 0.0000 10.2767
```

Output
As for the calculated total energy: -5.438 eV/atom. The space group is P2/m (10). The relative energy among the computed polymorphs is 0 meV/atom. The value obtained for the volume is 11.54 Å³ per atom. The calculation puts the formation energy at -1.822 eV/atom.

***

Below is crystalline MgCo6O2F10 at its relaxed geometry, with properties calculated at the GGA+U level.

Cell and atoms, written as extended XYZ:
```
19
Lattice="4.6817 0.0000 0.0000 -0.1482 4.7136 0.0000 -1.1130 -1.2751 11.5416" Properties=species:S:1:pos:R:3 pbc="T T T"
Mg 0.0000 0.0000 0.0000
Co 0.1166 0.1053 5.9219
Co 0.0761 0.0781 9.0807
Co 0.6987 0.7056 2.9413
Co 2.4650 2.5573 0.8062
Co 2.5678 2.6524 4.3157
Co 2.5935 2.6873 7.4041
O 1.9690 2.0289 2.5227
O 3.3452 3.4601 5.8796
F 1.0648 4.0481 4.2729
F 0.9488 3.7956 7.7582
F 1.7850 4.4635 0.2197
F 1.4821 1.5403 6.0252
F 1.1184 1.0435 10.3131
F 3.3132 3.3706 9.6055
F 4.0745 4.2240 1.7718
F 3.9955 1.1795 4.2765
F 4.3910 1.9286 0.2089
F 3.7165 1.0569 7.7710
```

Output
As for the calculated total energy: -5.113 eV/atom. The space group is P1 (1). The relative energy among the computed polymorphs is 87 meV/atom. The value obtained for the volume is 13.40 Å³ per atom. The calculation puts the formation energy at -2.088 eV/atom.

***

Below is crystalline MgCo6O7F5 at its relaxed geometry, with properties calculated at the GGA+U level.

Cell and atoms, written as extended XYZ:
```
19
Lattice="5.0769 0.0000 0.0000 1.1121 5.6876 0.0000 1.3359 1.1915 7.4166" Properties=species:S:1:pos:R:3 pbc="T T T"
Mg 0.0000 0.0000 0.0000
Co 1.9130 4.0191 7.3211
Co 1.2142 1.7517 2.6239
Co 3.8739 1.1804 7.2713
Co 3.7362 4.1542 2.3577
Co 3.8244 2.6541 4.7465
Co 6.8166 5.3563 4.7176
O 1.3259 1.3006 0.6907
O 2.6786 3.8834 5.5853
O 2.6747 5.5074 3.1239
O 2.7080 2.7319 3.1144
O 4.9905 2.9598 1.6656
O 5.0494 1.3678 4.1426
O 6.2791 5.5685 6.5256
F 2.3678 4.2368 0.6091
F 2.5805 1.1911 5.7054
F 4.8480 5.5921 1.5076
F 5.0224 4.1553 4.1050
F 5.2140 2.6260 6.6344
```

Output
As for the calculated total energy: -5.450 eV/atom. The space group is P1 (1). The relative energy among the computed polymorphs is 30 meV/atom. The value obtained for the volume is 11.27 Å³ per atom. The calculation puts the formation energy at -1.686 eV/atom.

***

Below is crystalline MgCo6O7F5 at its relaxed geometry, with properties calculated at the GGA+U level.

Cell and atoms, written as extended XYZ:
```
19
Lattice="5.7593 0.0000 0.0000 -2.3502 5.4622 0.0000 -1.0759 -2.6940 6.9018" Properties=species:S:1:pos:R:3 pbc="T T T"
Mg 0.0000 0.0000 0.0000
Co 3.7399 -0.1109 6.3799
Co -0.0497 2.0482 2.2598
Co 1.2773 -1.9542 5.4079
Co 1.2276 1.2418 4.6558
Co 0.9966 5.0419 1.0083
Co 4.8771 -1.2317 3.4209
O -0.8947 -1.1385 5.4222
O 0.0732 0.5362 3.4118
O 0.0535 3.3855 0.9321
O 0.4463 2.2745 6.0000
O 1.3819 2.5655 3.3912
O 1.9805 -0.1950 5.5258
O 4.5189 1.2629 0.9689
F -2.3276 1.7684 5.6248
F -1.4458 3.1224 3.4946
F 1.6945 0.7101 0.6390
F 3.1664 -0.2908 2.8909
F 2.8561 4.1454 1.3756
```

Output
As for the calculated total energy: -5.429 eV/atom. The space group is P1 (1). The relative energy among the computed polymorphs is 51 meV/atom. The value obtained for the volume is 11.43 Å³ per atom. The calculation puts the formation energy at -1.665 eV/atom.